w:
Here is Co6O7F5 after structural relaxation from Materials Project. Energies are from PBE+U. Values from VASP.

Quantum ESPRESSO input file:
```
&SYSTEM
  ibrav = 0, nat = 18, ntyp = 3
/
ATOMIC_SPECIES
Co 58.93 Co.upf
O 16.00 O.upf
F 19.00 F.upf
CELL_PARAMETERS angstrom
-0.850 -5.663 -6.872
-2.736 -2.619 2.497
-3.798 2.150 -1.302
ATOMIC_POSITIONS crystal
Co 0.174 0.984 0.992
Co 0.826 0.984 0.992
Co 0.500 0.010 0.962
Co 0.000 0.487 0.496
Co 0.329 0.514 0.526
Co 0.671 0.514 0.526
O 0.340 0.815 0.808
O 0.660 0.815 0.808
O 0.835 0.301 0.697
O 0.165 0.301 0.697
O 0.500 0.317 0.696
O 0.165 0.687 0.311
O 0.835 0.687 0.311
F 0.000 0.790 0.800
F 0.500 0.714 0.301
F 0.000 0.176 0.186
F 0.343 0.203 0.196
F 0.657 0.203 0.196
```

Output
- Crystal system: monoclinic
- Space group: Pm

x:
Here is Co6O7F5 after structural relaxation from Materials Project. Energies are from PBE+U. Values from VASP.

Quantum ESPRESSO input file:
```
&SYSTEM
  ibrav = 0, nat = 18, ntyp = 3
/
ATOMIC_SPECIES
Co 58.93 Co.upf
O 16.00 O.upf
F 19.00 F.upf
CELL_PARAMETERS angstrom
-3.933 -2.229 -0.596
1.615 -2.319 -4.671
2.563 -6.219 3.457
ATOMIC_POSITIONS crystal
Co 0.531 0.507 0.013
Co 0.489 0.167 0.336
Co 0.542 0.849 0.663
Co 0.998 0.324 0.668
Co 0.991 0.665 0.324
Co 0.958 0.002 0.997
O 0.812 0.041 0.767
O 0.803 0.701 0.102
O 0.700 0.532 0.772
O 0.686 0.200 0.109
O 0.695 0.872 0.426
O 0.305 0.126 0.565
O 0.305 0.464 0.232
F 0.801 0.366 0.434
F 0.300 0.797 0.898
F 0.194 0.967 0.220
F 0.202 0.298 0.909
F 0.187 0.623 0.564
```

Output
- Crystal system: triclinic
- Space group: P1

y:
Here is Co6O7F5 after structural relaxation from Materials Project. Energies are from PBE+U. Values from VASP.

Quantum ESPRESSO input file:
```
&SYSTEM
  ibrav = 0, nat = 18, ntyp = 3
/
ATOMIC_SPECIES
Co 58.93 Co.upf
O 16.00 O.upf
F 19.00 F.upf
CELL_PARAMETERS angstrom
-4.388 0.785 0.050
-0.788 -3.152 3.052
1.131 6.017 6.535
ATOMIC_POSITIONS crystal
Co 0.992 0.998 0.676
Co 0.024 0.976 0.000
Co 0.002 0.008 0.324
Co 0.518 0.528 0.829
Co 0.497 0.503 0.500
Co 0.472 0.482 0.171
O 0.185 0.183 0.162
O 0.312 0.688 0.000
O 0.317 0.711 0.669
O 0.289 0.683 0.331
O 0.678 0.297 0.333
O 0.703 0.322 0.667
O 0.817 0.815 0.838
F 0.226 0.229 0.835
F 0.190 0.197 0.508
F 0.703 0.297 0.000
F 0.803 0.810 0.492
F 0.771 0.774 0.165
```

Output
- Crystal system: monoclinic
- Space group: C2

Here is how they stack up, most stable first: w, x, y.

w:
Here is Co4OF11 after structural relaxation from Materials Project. Energies are from PBE+U. Values from VASP.

Quantum ESPRESSO input file:
```
&SYSTEM
  ibrav = 0, nat = 16, ntyp = 3
/
ATOMIC_SPECIES
Co 58.93 Co.upf
O 16.00 O.upf
F 19.00 F.upf
CELL_PARAMETERS angstrom
5.067 0.000 0.000
-0.006 5.350 0.000
-0.112 -0.477 7.248
ATOMIC_POSITIONS crystal
Co 0.496 0.500 0.994
Co 0.999 0.000 0.000
Co 0.491 0.499 0.513
Co 0.997 0.999 0.500
O 0.407 0.503 0.759
F 0.882 0.001 0.253
F 0.197 0.312 0.057
F 0.606 0.500 0.241
F 0.299 0.816 0.058
F 0.809 0.316 0.556
F 0.309 0.188 0.441
F 0.690 0.812 0.562
F 0.193 0.684 0.440
F 0.701 0.183 0.938
F 0.803 0.689 0.942
F 0.122 0.999 0.746
```

Output
- Crystal system: triclinic
- Space group: P1

x:
Here is Co4OF11 after structural relaxation from Materials Project. Energies are from PBE+U. Values from VASP.

Quantum ESPRESSO input file:
```
&SYSTEM
  ibrav = 0, nat = 16, ntyp = 3
/
ATOMIC_SPECIES
Co 58.93 Co.upf
O 16.00 O.upf
F 19.00 F.upf
CELL_PARAMETERS angstrom
-2.482 -3.988 1.925
4.467 -2.813 -0.350
1.463 2.429 6.810
ATOMIC_POSITIONS crystal
Co 0.511 0.503 0.998
Co 0.994 0.985 0.995
Co 0.500 0.499 0.499
Co 0.000 0.000 0.498
O 0.781 0.703 0.958
F 0.693 0.193 0.941
F 0.114 0.996 0.748
F 0.686 0.804 0.559
F 0.385 0.500 0.751
F 0.811 0.306 0.557
F 0.189 0.694 0.443
F 0.620 0.501 0.249
F 0.317 0.194 0.443
F 0.888 0.006 0.253
F 0.305 0.805 0.057
F 0.204 0.310 0.051
```

Output
- Crystal system: triclinic
- Space group: P1

Here is how they stack up, most stable first: w, x.